Entry 1:
EuTh3: optimized geometry, PBE-GGA.

The crystal system is hexagonal. Its offset from the most stable computed form is 0.030 eV per atom. The calculation puts the formation energy at 0.176 eV/atom.

Geometry as CIF:
```
data_EuTh3
_chemical_formula_sum 'Eu2 Th6'
_cell_length_a 7.1766
_cell_length_b 7.1766
_cell_length_c 5.9392
_cell_angle_alpha 90.00
_cell_angle_beta 90.00
_cell_angle_gamma 120.00
_symmetry_space_group_name_H-M 'P 63/m m c'
_symmetry_Int_Tables_number 194
_symmetry_space_group_name_Hall '-P 6c 2c'
loop_
_atom_site_label
_atom_site_type_symbol
_atom_site_fract_x
_atom_site_fract_y
_atom_site_fract_z
Eu1 Eu 0.3333 0.6667 0.2500
Th1 Th 0.1659 0.3319 0.7500
```

Entry 2:
Li35Ru12O48: optimized geometry, PBE-GGA.

The crystal system is monoclinic. The calculation puts the formation energy at -1.923 eV/atom.

Geometry as CIF:
```
data_Li35Ru12O48
_chemical_formula_sum 'Li70 Ru24 O96'
_cell_length_a 16.864
_cell_length_b 11.920
_cell_length_c 9.881
_cell_angle_alpha 90.00
_cell_angle_beta 115.96
_cell_angle_gamma 90.00
_symmetry_space_group_name_H-M 'C 1 2 1'
_symmetry_Int_Tables_number 5
loop_
_symmetry_equiv_pos_as_xyz
'x,y,z'
'-x,y,-z'
'x+1/2,y+1/2,z'
'-x+1/2,y+1/2,-z'
loop_
_atom_site_label
_atom_site_type_symbol
_atom_site_fract_x
_atom_site_fract_y
_atom_site_fract_z
Li1 Li 0.000 0.000 0.000
Li2 Li 0.000 0.114 0.500
Li3 Li 0.000 0.243 0.000
Li4 Li 0.000 0.374 0.500
Li5 Li 0.000 0.614 0.500
Li6 Li 0.000 0.734 0.000
Li7 Li 0.000 0.875 0.500
Li8 Li 0.082 0.497 0.327
Li9 Li 0.082 0.616 0.836
Li10 Li 0.083 0.117 0.833
Li11 Li 0.084 0.997 0.334
Li12 Li 0.163 0.376 0.165
Li13 Li 0.163 0.611 0.162
Li14 Li 0.166 0.239 0.668
Li15 Li 0.166 0.499 0.667
Li16 Li 0.167 0.000 0.666
Li17 Li 0.167 0.114 0.167
Li18 Li 0.167 0.739 0.668
Li19 Li 0.167 0.874 0.167
Li20 Li 0.249 0.996 0.001
Li21 Li 0.250 0.117 0.500
Ru1 Ru 0.083 0.234 0.334
Ru2 Ru 0.083 0.380 0.836
Ru3 Ru 0.083 0.878 0.833
Ru4 Ru 0.084 0.737 0.336
Ru5 Ru 0.249 0.379 0.499
Ru6 Ru 0.250 0.236 0.999
O1 O 0.036 0.250 0.673
O2 O 0.037 0.360 0.177
O3 O 0.037 0.751 0.672
O4 O 0.037 0.864 0.175
O5 O 0.046 0.487 0.677
O6 O 0.047 0.126 0.177
O7 O 0.047 0.987 0.676
O8 O 0.048 0.631 0.181
O9 O 0.120 0.628 0.493
O10 O 0.120 0.987 0.991
O11 O 0.121 0.126 0.493
O12 O 0.126 0.486 0.990
O13 O 0.130 0.251 0.994
O14 O 0.130 0.362 0.494
O15 O 0.130 0.750 0.994
O16 O 0.131 0.866 0.496
O17 O 0.203 0.251 0.340
O18 O 0.203 0.362 0.840
O19 O 0.203 0.752 0.342
O20 O 0.203 0.863 0.840
O21 O 0.212 0.487 0.341
O22 O 0.213 0.127 0.843
O23 O 0.214 0.627 0.843
O24 O 0.214 0.987 0.343
```

Entry 3:
AcH3: optimized geometry, PBE-GGA.

The crystal system is cubic. The calculation puts the formation energy at -0.670 eV/atom.

Geometry as CIF:
```
data_AcH3
_chemical_formula_sum 'Ac4 H12'
_cell_length_a 5.806
_cell_length_b 5.806
_cell_length_c 5.806
_cell_angle_alpha 90.00
_cell_angle_beta 90.00
_cell_angle_gamma 90.00
_symmetry_space_group_name_H-M 'F m -3 m'
_symmetry_Int_Tables_number 225
_symmetry_space_group_name_Hall '-F 4 2 3'
loop_
_atom_site_label
_atom_site_type_symbol
_atom_site_fract_x
_atom_site_fract_y
_atom_site_fract_z
Ac1 Ac 0.000 0.000 0.000
H1 H 0.000 0.000 0.500
H2 H 0.250 0.250 0.250
```

Entry 4:
ErCoSi3: optimized geometry, PBE-GGA.

The crystal system is orthorhombic. The calculation puts the formation energy at -0.602 eV/atom.

Geometry as CIF:
```
data_ErCoSi3
_chemical_formula_sum 'Er4 Co4 Si12'
_cell_length_a 3.921
_cell_length_b 21.040
_cell_length_c 3.939
_cell_angle_alpha 90.00
_cell_angle_beta 90.00
_cell_angle_gamma 90.00
_symmetry_space_group_name_H-M 'C m m m'
_symmetry_Int_Tables_number 65
_symmetry_space_group_name_Hall '-C 2 2'
loop_
_atom_site_label
_atom_site_type_symbol
_atom_site_fract_x
_atom_site_fract_y
_atom_site_fract_z
Er1 Er 0.000 0.169 0.000
Co1 Co 0.000 0.391 0.500
Si1 Si 0.000 0.056 0.500
Si2 Si 0.000 0.284 0.500
Si3 Si 0.000 0.444 0.000
```

Entry 5:
Cs2NaPrCl6: optimized geometry, PBE-GGA.

The crystal system is cubic. The calculation puts the formation energy at -2.475 eV/atom.

Geometry as CIF:
```
data_Cs2NaPrCl6
_chemical_formula_sum 'Cs8 Na4 Pr4 Cl24'
_cell_length_a 11.122
_cell_length_b 11.122
_cell_length_c 11.122
_cell_angle_alpha 90.00
_cell_angle_beta 90.00
_cell_angle_gamma 90.00
_symmetry_space_group_name_H-M 'F m -3 m'
_symmetry_Int_Tables_number 225
_symmetry_space_group_name_Hall '-F 4 2 3'
loop_
_atom_site_label
_atom_site_type_symbol
_atom_site_fract_x
_atom_site_fract_y
_atom_site_fract_z
Cs1 Cs 0.250 0.250 0.250
Na1 Na 0.000 0.000 0.000
Pr1 Pr 0.000 0.000 0.500
Cl1 Cl 0.000 0.000 0.252
```

Entry 6:
VCrSi: optimized geometry, PBE-GGA.

The crystal system is orthorhombic. The calculation puts the formation energy at -0.202 eV/atom.

Geometry as CIF:
```
data_VCrSi
_chemical_formula_sum 'V8 Cr8 Si8'
_cell_length_a 7.520
_cell_length_b 4.736
_cell_length_c 8.481
_cell_angle_alpha 90.00
_cell_angle_beta 90.00
_cell_angle_gamma 90.00
_symmetry_space_group_name_H-M 'A m m 2'
_symmetry_Int_Tables_number 38
loop_
_symmetry_equiv_pos_as_xyz
'x,y,z'
'-x,-y,z'
'-x,y,z'
'x,-y,z'
'x,y+1/2,z+1/2'
'-x,-y+1/2,z+1/2'
'-x,y+1/2,z+1/2'
'x,-y+1/2,z+1/2'
loop_
_atom_site_label
_atom_site_type_symbol
_atom_site_fract_x
_atom_site_fract_y
_atom_site_fract_z
V1 V 0.185 0.000 0.000
V2 V 0.312 0.000 0.668
Cr1 Cr 0.000 0.246 0.751
Cr2 Cr 0.250 0.000 0.331
Si1 Si 0.000 0.000 0.508
Si2 Si 0.500 0.000 0.162
Si3 Si 0.500 0.243 0.918
```

| no. | calculated total energy (eV/atom) |
| --- | --- |
| 1 | -7.95 |
| 2 | -5.95 |
| 3 | -4.11 |
| 4 | -6.23 |
| 5 | -4.01 |
| 6 | -8.28 |